DFT (PBE with a Hubbard U) results for K2Li2CoO4 after structural relaxation.

Geometry as CIF:
```
data_K2Li2CoO4
_chemical_formula_sum 'K8 Li8 Co4 O16'
_cell_length_a 5.6011
_cell_length_b 8.9940
_cell_length_c 10.4001
_cell_angle_alpha 86.99
_cell_angle_beta 82.39
_cell_angle_gamma 89.60
_space_group_name_H-M_alt 'P 1'
_space_group_IT_number 1
_space_group_name_Hall 'P 1'
loop_
_atom_site_label
_atom_site_type_symbol
_atom_site_fract_x
_atom_site_fract_y
_atom_site_fract_z
K1 K 0.0000 0.0000 0.0000
K2 K 0.0078 0.8562 0.4069
K3 K 0.1184 0.5953 0.1665
K4 K 0.2120 0.2385 0.6912
K5 K 0.4927 0.5514 0.4407
K6 K 0.5183 0.7591 0.9549
K7 K 0.7009 0.0333 0.6824
K8 K 0.7196 0.3292 0.1878
Li1 Li 0.1192 0.5154 0.8730
Li2 Li 0.2516 0.3024 0.0107
Li3 Li 0.4032 0.0788 0.1397
Li4 Li 0.4295 0.7951 0.6065
Li5 Li 0.5336 0.5504 0.7386
Li6 Li 0.6169 0.0681 0.3863
Li7 Li 0.7517 0.3008 0.5087
Li8 Li 0.9503 0.5223 0.6020
Co1 Co 0.0249 0.7491 0.7461
Co2 Co 0.1633 0.2679 0.3744
Co3 Co 0.5390 0.8442 0.2513
Co4 Co 0.6664 0.3253 0.8709
O1 O 0.0125 0.4429 0.4255
O2 O 0.1740 0.9227 0.7062
O3 O 0.2238 0.5980 0.6790
O4 O 0.2272 0.2661 0.1982
O5 O 0.2748 0.8752 0.1712
O6 O 0.4473 0.2522 0.4419
O7 O 0.4476 0.4696 0.9212
O8 O 0.4897 0.8545 0.4288
O9 O 0.5036 0.1565 0.9261
O10 O 0.6551 0.6655 0.2101
O11 O 0.6956 0.0174 0.2057
O12 O 0.7177 0.3591 0.6918
O13 O 0.7404 0.7238 0.6775
O14 O 0.9404 0.1356 0.4509
O15 O 0.9523 0.3305 0.9324
O16 O 0.9969 0.7125 0.9163
```

## Properties
Magnetic moment, μB/atom: 0.44
Formation energy, eV per atom: -1.671
Energy, eV for the cell shown: -174.4
Energy above the lowest structure with this stoichiometry, meV per atom: 19

=====

DFT (PBE with a Hubbard U) results for K2Li2CoO4 after structural relaxation.

Geometry as CIF:
```
data_K2Li2CoO4
_chemical_formula_sum 'K8 Li8 Co4 O16'
_cell_length_a 5.5089
_cell_length_b 9.1262
_cell_length_c 11.1613
_cell_angle_alpha 90.00
_cell_angle_beta 111.75
_cell_angle_gamma 90.00
_space_group_name_H-M_alt 'P 1 21/c 1'
_space_group_IT_number 14
_space_group_name_Hall '-P 2ybc'
loop_
_atom_site_label
_atom_site_type_symbol
_atom_site_fract_x
_atom_site_fract_y
_atom_site_fract_z
K1 K 0.2038 0.0015 0.3585
K2 K 0.2891 0.7461 0.6437
Li1 Li 0.1064 0.2433 0.6863
Li2 Li 0.1518 0.5174 0.4308
Co1 Co 0.3710 0.2137 0.0471
O1 O 0.2232 0.1880 0.8724
O2 O 0.2244 0.0734 0.1156
O3 O 0.2703 0.1148 0.5922
O4 O 0.2733 0.7079 0.3926
```

## Properties
Magnetic moment, μB/atom: 0.56
Formation energy, eV per atom: -1.690
Energy, eV for the cell shown: -175.0
Energy above the lowest structure with this stoichiometry, meV per atom: 0

=====

DFT (PBE with a Hubbard U) results for K2Li3CoO4 after structural relaxation.

Geometry as CIF:
```
data_K2Li3CoO4
_chemical_formula_sum 'K8 Li12 Co4 O16'
_cell_length_a 5.5739
_cell_length_b 8.8487
_cell_length_c 11.0194
_cell_angle_alpha 90.00
_cell_angle_beta 111.28
_cell_angle_gamma 90.00
_space_group_name_H-M_alt 'P 1 21/c 1'
_space_group_IT_number 14
_space_group_name_Hall '-P 2ybc'
loop_
_atom_site_label
_atom_site_type_symbol
_atom_site_fract_x
_atom_site_fract_y
_atom_site_fract_z
K1 K 0.2066 0.0077 0.3615
K2 K 0.2175 0.2275 0.6077
Li1 Li 0.1252 0.7355 0.6986
Li2 Li 0.1317 0.0032 0.9321
Li3 Li 0.4060 0.5339 0.2977
Co1 Co 0.4057 0.7134 0.5639
O1 O 0.2437 0.5501 0.6234
O2 O 0.2490 0.1726 0.8559
O3 O 0.2638 0.6916 0.3799
O4 O 0.2775 0.6096 0.1117
```

## Properties
Magnetic moment, μB/atom: 0.40
Formation energy, eV per atom: -1.777
Energy, eV for the cell shown: -192.9

=====

DFT (PBE with a Hubbard U) results for K8MgCo2Mo8O30 after structural relaxation.

Geometry as CIF:
```
data_K8MgCo2Mo8O30
_chemical_formula_sum 'K8 Mg1 Co2 Mo8 O30'
_cell_length_a 8.5465
_cell_length_b 10.3609
_cell_length_c 10.4407
_cell_angle_alpha 118.47
_cell_angle_beta 90.79
_cell_angle_gamma 92.18
_space_group_name_H-M_alt 'P 1'
_space_group_IT_number 1
_space_group_name_Hall 'P 1'
loop_
_atom_site_label
_atom_site_type_symbol
_atom_site_fract_x
_atom_site_fract_y
_atom_site_fract_z
K1 K 0.0000 0.0000 0.0000
K2 K 0.0042 0.1536 0.5914
K3 K 0.0360 0.5249 0.2836
K4 K 0.4380 0.9038 0.3281
K5 K 0.7030 0.2987 0.4106
K6 K 0.7092 0.5998 0.8992
K7 K 0.7380 0.7942 0.6259
K8 K 0.9041 0.8483 0.2581
Mg1 Mg 0.9942 0.4325 0.9235
Co1 Co 0.3256 0.2418 0.9740
Co2 Co 0.3885 0.5595 0.6354
Mo1 Mo 0.0278 0.5662 0.6815
Mo2 Mo 0.2308 0.8851 0.6369
Mo3 Mo 0.2332 0.2229 0.3122
Mo4 Mo 0.2737 0.5977 0.9860
Mo5 Mo 0.4928 0.9027 0.9846
Mo6 Mo 0.5011 0.2300 0.6616
Mo7 Mo 0.5096 0.5602 0.2992
Mo8 Mo 0.6988 0.2289 0.9927
O1 O 0.0744 0.6406 0.0700
O2 O 0.0764 0.0991 0.3068
O3 O 0.0839 0.8771 0.5074
O4 O 0.1986 0.0426 0.8136
O5 O 0.2005 0.2540 0.1558
O6 O 0.2085 0.7098 0.6411
O7 O 0.2153 0.3892 0.9394
O8 O 0.2318 0.3942 0.4827
O9 O 0.2390 0.5654 0.7888
O10 O 0.3152 0.8455 0.0401
O11 O 0.3169 0.1522 0.5769
O12 O 0.3261 0.6347 0.3058
O13 O 0.4175 0.1435 0.2916
O14 O 0.4246 0.8986 0.5870
O15 O 0.4661 0.6175 0.0611
O16 O 0.4946 0.0806 0.9820
O17 O 0.5192 0.2432 0.8458
O18 O 0.5203 0.3756 0.1364
O19 O 0.5210 0.7559 0.8032
O20 O 0.5226 0.4093 0.6715
O21 O 0.5239 0.5401 0.4628
O22 O 0.6510 0.1252 0.5456
O23 O 0.6538 0.8991 0.0916
O24 O 0.6690 0.6871 0.3214
O25 O 0.7838 0.0823 0.8437
O26 O 0.7839 0.2159 0.1405
O27 O 0.8119 0.3884 0.0057
O28 O 0.9266 0.5101 0.5096
O29 O 0.9343 0.7306 0.8127
O30 O 0.9359 0.4291 0.7409
```

## Properties
Magnetic moment, μB/atom: 0.04
Formation energy, eV per atom: -2.018
Energy, eV for the cell shown: -309.3
Energy above the lowest structure with this stoichiometry, meV per atom: 31

=====

DFT (PBE with a Hubbard U) results for K8MgCo2Mo8O30 after structural relaxation.

Geometry as CIF:
```
data_K8MgCo2Mo8O30
_chemical_formula_sum 'K8 Mg1 Co2 Mo8 O30'
_cell_length_a 8.4834
_cell_length_b 10.5385
_cell_length_c 10.6146
_cell_angle_alpha 60.66
_cell_angle_beta 88.83
_cell_angle_gamma 88.42
_space_group_name_H-M_alt 'P 1'
_space_group_IT_number 1
_space_group_name_Hall 'P 1'
loop_
_atom_site_label
_atom_site_type_symbol
_atom_site_fract_x
_atom_site_fract_y
_atom_site_fract_z
K1 K 0.0000 0.0000 0.0000
K2 K 0.0024 0.7915 0.4826
K3 K 0.0352 0.4598 0.2914
K4 K 0.1601 0.0926 0.5986
K5 K 0.2843 0.1886 0.1724
K6 K 0.3014 0.4098 0.6698
K7 K 0.3052 0.6922 0.8988
K8 K 0.6551 0.0951 0.6006
Mg1 Mg 0.6918 0.6317 0.2761
Co1 Co 0.6243 0.9113 0.2382
Co2 Co 0.6249 0.4419 0.9164
Mo1 Mo 0.0086 0.4415 0.9049
Mo2 Mo 0.2858 0.7463 0.2480
Mo3 Mo 0.5038 0.4125 0.2580
Mo4 Mo 0.5123 0.7756 0.5659
Mo5 Mo 0.5141 0.0922 0.9230
Mo6 Mo 0.7884 0.1593 0.2467
Mo7 Mo 0.7905 0.7591 0.9081
Mo8 Mo 0.7921 0.4123 0.6139
O1 O 0.0942 0.2783 0.9201
O2 O 0.1008 0.5800 0.7477
O3 O 0.1023 0.4523 0.0473
O4 O 0.1811 0.7482 0.1043
O5 O 0.1939 0.6068 0.4051
O6 O 0.2036 0.9056 0.2489
O7 O 0.3367 0.3188 0.3687
O8 O 0.3576 0.8842 0.5820
O9 O 0.3768 0.1066 0.7911
O10 O 0.4670 0.6152 0.2390
O11 O 0.4675 0.9254 0.0968
O12 O 0.4870 0.7650 0.3963
O13 O 0.4959 0.4600 0.0613
O14 O 0.4972 0.2563 0.9386
O15 O 0.5067 0.5963 0.7237
O16 O 0.5927 0.1880 0.3037
O17 O 0.5997 0.8262 0.8433
O18 O 0.6042 0.3465 0.6130
O19 O 0.6958 0.8590 0.5501
O20 O 0.7103 0.0760 0.8720
O21 O 0.7102 0.4268 0.3100
O22 O 0.8090 0.4262 0.7805
O23 O 0.8094 0.5923 0.4543
O24 O 0.8121 0.7322 0.0904
O25 O 0.8147 0.5864 0.9035
O26 O 0.8167 0.3072 0.0650
O27 O 0.8179 0.9929 0.2331
O28 O 0.9359 0.8832 0.7950
O29 O 0.9394 0.1522 0.3631
O30 O 0.9428 0.2967 0.6047
```

## Properties
Magnetic moment, μB/atom: 0.05
Formation energy, eV per atom: -2.003
Energy, eV for the cell shown: -308.6
Energy above the lowest structure with this stoichiometry, meV per atom: 46

=====

DFT (PBE with a Hubbard U) results for K8MgCo2Mo8O30 after structural relaxation.

Geometry as CIF:
```
data_K8MgCo2Mo8O30
_chemical_formula_sum 'K8 Mg1 Co2 Mo8 O30'
_cell_length_a 8.5014
_cell_length_b 10.4254
_cell_length_c 10.4667
_cell_angle_alpha 118.29
_cell_angle_beta 90.21
_cell_angle_gamma 92.00
_space_group_name_H-M_alt 'P 1'
_space_group_IT_number 1
_space_group_name_Hall 'P 1'
loop_
_atom_site_label
_atom_site_type_symbol
_atom_site_fract_x
_atom_site_fract_y
_atom_site_fract_z
K1 K 0.0000 0.0000 0.0000
K2 K 0.0000 0.3036 0.7825
K3 K 0.3511 0.6827 0.0813
K4 K 0.7068 0.0989 0.3983
K5 K 0.7135 0.3869 0.1981
K6 K 0.7222 0.5947 0.6758
K7 K 0.8491 0.6886 0.0777
K8 K 0.9600 0.8309 0.5371
Mg1 Mg 0.1160 0.5544 0.3070
Co1 Co 0.3253 0.0132 0.7461
Co2 Co 0.3739 0.3493 0.4104
Mo1 Mo 0.0119 0.3528 0.4142
Mo2 Mo 0.2120 0.0173 0.4099
Mo3 Mo 0.2222 0.6669 0.7392
Mo4 Mo 0.2596 0.3371 0.0664
Mo5 Mo 0.4821 0.0158 0.0763
Mo6 Mo 0.4882 0.7124 0.4333
Mo7 Mo 0.4892 0.3463 0.7523
Mo8 Mo 0.6968 0.0447 0.7742
O1 O 0.0587 0.8874 0.3019
O2 O 0.0711 0.6660 0.8568
O3 O 0.1039 0.4783 0.0957
O4 O 0.1876 0.1933 0.4123
O5 O 0.1940 0.0423 0.5934
O6 O 0.1973 0.1577 0.9145
O7 O 0.1969 0.8281 0.7165
O8 O 0.2118 0.4997 0.5601
O9 O 0.2179 0.3673 0.2671
O10 O 0.2882 0.7027 0.3678
O11 O 0.2927 0.9408 0.0733
O12 O 0.3039 0.4114 0.8245
O13 O 0.4022 0.9575 0.3487
O14 O 0.4108 0.6801 0.8155
O15 O 0.4479 0.4236 0.0837
O16 O 0.4982 0.3272 0.5704
O17 O 0.5001 0.1960 0.2347
O18 O 0.5032 0.0292 0.9055
O19 O 0.5042 0.1664 0.7485
O20 O 0.5102 0.8746 0.6112
O21 O 0.5153 0.5499 0.4490
O22 O 0.6305 0.9074 0.0915
O23 O 0.6346 0.7163 0.3151
O24 O 0.6462 0.4696 0.8561
O25 O 0.7873 0.8899 0.7687
O26 O 0.7879 0.0573 0.6269
O27 O 0.7911 0.1916 0.9260
O28 O 0.9105 0.3618 0.5689
O29 O 0.9119 0.2138 0.2535
O30 O 0.9397 0.5294 0.4116
```

## Properties
Magnetic moment, μB/atom: 0.08
Formation energy, eV per atom: -2.049
Energy, eV for the cell shown: -310.8
Energy above the lowest structure with this stoichiometry, meV per atom: 0

=====

DFT (PBE with a Hubbard U) results for KMgCo2Mo2O10 after structural relaxation.

Geometry as CIF:
```
data_KMgCo2Mo2O10
_chemical_formula_sum 'K1 Mg1 Co2 Mo2 O10'
_cell_length_a 6.0176
_cell_length_b 6.1142
_cell_length_c 8.2952
_cell_angle_alpha 69.48
_cell_angle_beta 69.77
_cell_angle_gamma 61.51
_space_group_name_H-M_alt 'P 1'
_space_group_IT_number 1
_space_group_name_Hall 'P 1'
loop_
_atom_site_label
_atom_site_type_symbol
_atom_site_fract_x
_atom_site_fract_y
_atom_site_fract_z
K1 K 0.0000 0.0000 0.0000
Mg1 Mg 0.0012 0.4777 0.4895
Co1 Co 0.4951 0.9688 0.5000
Co2 Co 0.9700 0.9931 0.5126
Mo1 Mo 0.4088 0.3964 0.7549
Mo2 Mo 0.5834 0.5458 0.2412
O1 O 0.1864 0.1494 0.4022
O2 O 0.2338 0.6733 0.3071
O3 O 0.2711 0.7439 0.6920
O4 O 0.2772 0.2719 0.6578
O5 O 0.3351 0.2903 0.9835
O6 O 0.6778 0.6117 0.0114
O7 O 0.7105 0.6831 0.3332
O8 O 0.7154 0.1989 0.3253
O9 O 0.7620 0.2667 0.6740
O10 O 0.8101 0.7813 0.5982
```

## Properties
Magnetic moment, μB/atom: 0.44
Formation energy, eV per atom: -1.923
Energy, eV for the cell shown: -102.3

=====

DFT (PBE with a Hubbard U) results for K8MgCo2Mo8O30 after structural relaxation.

Geometry as CIF:
```
data_K8MgCo2Mo8O30
_chemical_formula_sum 'K8 Mg1 Co2 Mo8 O30'
_cell_length_a 8.7307
_cell_length_b 10.2942
_cell_length_c 10.3099
_cell_angle_alpha 119.72
_cell_angle_beta 90.09
_cell_angle_gamma 90.11
_space_group_name_H-M_alt 'P 1'
_space_group_IT_number 1
_space_group_name_Hall 'P 1'
loop_
_atom_site_label
_atom_site_type_symbol
_atom_site_fract_x
_atom_site_fract_y
_atom_site_fract_z
K1 K 0.0000 0.0000 0.0000
K2 K 0.0000 0.4642 0.2112
K3 K 0.0008 0.2118 0.7464
K4 K 0.1344 0.8913 0.3186
K5 K 0.2894 0.3087 0.4173
K6 K 0.2912 0.5750 0.9056
K7 K 0.2906 0.7964 0.6378
K8 K 0.7937 0.8892 0.3170
Mg1 Mg 0.4686 0.8990 0.3245
Co1 Co 0.6142 0.5596 0.6525
Co2 Co 0.6447 0.2260 0.9866
Mo1 Mo 0.2967 0.2260 0.9868
Mo2 Mo 0.5232 0.2066 0.6436
Mo3 Mo 0.5238 0.5710 0.3088
Mo4 Mo 0.5243 0.9024 0.0076
Mo5 Mo 0.7784 0.2221 0.3309
Mo6 Mo 0.7783 0.8821 0.6391
Mo7 Mo 0.7802 0.5709 0.9868
Mo8 Mo 0.9804 0.5594 0.6526
O1 O 0.0723 0.5603 0.4989
O2 O 0.0735 0.4056 0.6526
O3 O 0.0734 0.7129 0.8059
O4 O 0.2044 0.2343 0.1485
O5 O 0.2039 0.3788 0.9771
O6 O 0.2046 0.0638 0.8339
O7 O 0.3840 0.0738 0.5022
O8 O 0.3883 0.7148 0.3171
O9 O 0.3880 0.8933 0.1419
O10 O 0.4874 0.3904 0.1419
O11 O 0.4879 0.0709 0.9955
O12 O 0.4875 0.2189 0.8241
O13 O 0.4885 0.5489 0.4688
O14 O 0.4893 0.3884 0.6646
O15 O 0.4889 0.7437 0.8258
O16 O 0.6084 0.1227 0.3321
O17 O 0.6082 0.8809 0.5394
O18 O 0.6092 0.6671 0.0812
O19 O 0.7186 0.1640 0.6012
O20 O 0.7200 0.6126 0.3092
O21 O 0.7202 0.9026 0.0496
O22 O 0.7780 0.0439 0.8241
O23 O 0.7779 0.2449 0.1681
O24 O 0.7803 0.3859 0.9660
O25 O 0.7931 0.4068 0.4976
O26 O 0.7929 0.7133 0.6552
O27 O 0.7946 0.5550 0.8023
O28 O 0.9434 0.1131 0.3179
O29 O 0.9431 0.8963 0.5432
O30 O 0.9438 0.6691 0.0982
```

## Properties
Magnetic moment, μB/atom: 0.08
Formation energy, eV per atom: -2.017
Energy, eV for the cell shown: -309.2
Energy above the lowest structure with this stoichiometry, meV per atom: 33

=====

DFT (PBE with a Hubbard U) results for K8MgCo2Mo8O30 after structural relaxation.

Geometry as CIF:
```
data_K8MgCo2Mo8O30
_chemical_formula_sum 'K8 Mg1 Co2 Mo8 O30'
_cell_length_a 8.5460
_cell_length_b 10.3567
_cell_length_c 10.5486
_cell_angle_alpha 119.29
_cell_angle_beta 90.49
_cell_angle_gamma 93.27
_space_group_name_H-M_alt 'P 1'
_space_group_IT_number 1
_space_group_name_Hall 'P 1'
loop_
_atom_site_label
_atom_site_type_symbol
_atom_site_fract_x
_atom_site_fract_y
_atom_site_fract_z
K1 K 0.0000 0.0000 0.0000
K2 K 0.0127 0.7890 0.2799
K3 K 0.0626 0.2432 0.4597
K4 K 0.2985 0.6821 0.5863
K5 K 0.6777 0.6455 0.9510
K6 K 0.7008 0.1104 0.6971
K7 K 0.7208 0.3846 0.1849
K8 K 0.8148 0.7388 0.6100
Mg1 Mg 0.9095 0.4995 0.7118
Co1 Co 0.3593 0.0216 0.2646
Co2 Co 0.3791 0.3674 0.9183
Mo1 Mo 0.0213 0.3695 0.9267
Mo2 Mo 0.2300 0.0271 0.6105
Mo3 Mo 0.2405 0.6979 0.9167
Mo4 Mo 0.2454 0.3602 0.2408
Mo5 Mo 0.4858 0.0130 0.9423
Mo6 Mo 0.4956 0.7041 0.2733
Mo7 Mo 0.5159 0.3660 0.5922
Mo8 Mo 0.7222 0.0499 0.2880
O1 O 0.0492 0.6717 0.7987
O2 O 0.0724 0.8978 0.5923
O3 O 0.1016 0.4601 0.3653
O4 O 0.2013 0.2086 0.7691
O5 O 0.2032 0.5081 0.9238
O6 O 0.2049 0.3590 0.0656
O7 O 0.2218 0.8417 0.1094
O8 O 0.2313 0.1746 0.2196
O9 O 0.2324 0.0373 0.4425
O10 O 0.2968 0.9073 0.8857
O11 O 0.3069 0.7068 0.3410
O12 O 0.3272 0.4019 0.5523
O13 O 0.4083 0.9651 0.6399
O14 O 0.4201 0.6471 0.8247
O15 O 0.4352 0.4430 0.3105
O16 O 0.4868 0.1952 0.9598
O17 O 0.5100 0.5453 0.0924
O18 O 0.5164 0.3374 0.7550
O19 O 0.5287 0.8771 0.2634
O20 O 0.5320 0.0343 0.1215
O21 O 0.5387 0.1740 0.4146
O22 O 0.6414 0.9192 0.8301
O23 O 0.6526 0.7037 0.3855
O24 O 0.7086 0.4867 0.6238
O25 O 0.8067 0.8962 0.1385
O26 O 0.8215 0.1997 0.2772
O27 O 0.8228 0.0511 0.4368
O28 O 0.9165 0.5148 0.0596
O29 O 0.9276 0.3436 0.7560
O30 O 0.9288 0.2120 0.9295
```

## Properties
Magnetic moment, μB/atom: 0.08
Formation energy, eV per atom: -2.026
Energy, eV for the cell shown: -309.7
Energy above the lowest structure with this stoichiometry, meV per atom: 23